Entry a
# LiAl4Zn2O8 | the Materials Project database | PBE-GGA | relaxed
# Size of the total moment in Bohr magnetons per cell: 0.00
# Space group: C2/m (12)
data_LiAl4Zn2O8
_space_group_name_H-M_alt 'P 1'
_space_group_IT_number 1
_cell_length_a 5.7900
_cell_length_b 5.7750
_cell_length_c 6.0056
_cell_angle_alpha 61.26
_cell_angle_beta 62.40
_cell_angle_gamma 60.09
loop_
_space_group_symop_operation_xyz
'x,y,z'
loop_
_atom_site_label
_atom_site_type_symbol
_atom_site_fract_x
_atom_site_fract_y
_atom_site_fract_z
O1 O 0.7094 0.7469 0.2967
O2 O 0.2593 0.2284 0.2564
O3 O 0.2906 0.2531 0.7033
O4 O 0.7388 0.2402 0.2809
O5 O 0.2612 0.7598 0.7191
O6 O 0.7407 0.7716 0.7436
O7 O 0.2593 0.7559 0.2564
O8 O 0.7407 0.2441 0.7436
Zn1 Zn 0.0000 0.5000 0.5000
Zn2 Zn 0.5000 0.5000 0.0000
Al1 Al 0.8533 0.8568 0.9331
Al2 Al 0.5000 0.5000 0.5000
Al3 Al 0.5000 0.0000 0.5000
Al4 Al 0.1467 0.1432 0.0669
Li1 Li 0.0000 0.0000 0.5000

***

Entry b
# LiAl4Zn2O8 | the Materials Project database | PBE-GGA | relaxed
# Size of the total moment in Bohr magnetons per cell: 0.00
# Space group: Imm2 (44)
data_LiAl4Zn2O8
_space_group_name_H-M_alt 'P 1'
_space_group_IT_number 1
_cell_length_a 6.0423
_cell_length_b 5.8496
_cell_length_c 6.0423
_cell_angle_alpha 61.05
_cell_angle_beta 56.90
_cell_angle_gamma 61.05
loop_
_space_group_symop_operation_xyz
'x,y,z'
loop_
_atom_site_label
_atom_site_type_symbol
_atom_site_fract_x
_atom_site_fract_y
_atom_site_fract_z
O1 O 0.7329 0.7687 0.7329
O2 O 0.2819 0.2261 0.2819
O3 O 0.2819 0.7100 0.2819
O4 O 0.2514 0.7581 0.7324
O5 O 0.7329 0.2656 0.7329
O6 O 0.7676 0.2159 0.3007
O7 O 0.3007 0.2159 0.7676
O8 O 0.7324 0.7581 0.2514
Al1 Al 0.5163 0.4902 0.5163
Al2 Al 0.8535 0.8965 0.8535
Al3 Al 0.5163 0.9772 0.5163
Al4 Al 0.1612 0.0888 0.1612
Zn1 Zn 0.5908 0.4395 0.0302
Zn2 Zn 0.0302 0.4395 0.5908
Li1 Li 0.1250 0.6250 0.1250

***

entry b takes first place; second place is 0.019 eV/atom up.